Record 1
VASP calculation (meta-GGA r2SCAN) on crystalline NiHg4 at its relaxed geometry.

POSCAR file:
```
NiHg4
1.0
4.9759 0.0000 -1.7593
-2.4880 4.3093 -1.7593
0.0000 0.0000 5.2778
Hg Ni
4 1
Direct
0.5000 0.5000 0.5000
0.5000 0.0000 0.0000
0.0000 0.0000 0.5000
0.0000 0.5000 0.0000
0.0000 0.0000 0.0000
```

Values from the calculation:
- Energy relative to the elements: 0.017 eV per atom
- SG: No. 229
- E_tot: -41.87 eV/atom
- Magnetic moment: 0.0 μB per formula unit



Record 2
VASP calculation (meta-GGA r2SCAN) on crystalline Hg3PO4 at its relaxed geometry.

POSCAR file:
```
Hg3PO4
1.0
-1.2811 -5.7370 5.7091
5.4503 -4.6604 -3.4601
9.5461 0.7251 2.8708
O Hg P
16 12 4
Direct
0.6837 0.2665 0.6412
0.9705 0.5144 0.8338
0.8163 0.2665 0.1412
0.0295 0.4856 0.1662
0.5568 0.8732 0.1788
0.1672 0.7023 0.6202
0.6672 0.2977 0.8798
0.9432 0.8732 0.6788
0.5295 0.5144 0.3338
0.4705 0.4856 0.6662
0.8328 0.2977 0.3798
0.3328 0.7023 0.1202
0.4432 0.1268 0.8212
0.1837 0.7335 0.8588
0.3163 0.7335 0.3588
0.0568 0.1268 0.3212
0.7771 0.5611 0.4309
0.8938 0.1326 0.9680
0.9487 0.8515 0.3861
0.1062 0.8674 0.0320
0.4487 0.1485 0.1139
0.5513 0.8515 0.8861
0.0513 0.1485 0.6139
0.2771 0.4389 0.0691
0.6062 0.1326 0.4680
0.7229 0.5611 0.9309
0.3938 0.8674 0.5320
0.2229 0.4389 0.5691
0.0655 0.7023 0.7528
0.5655 0.2977 0.7472
0.4345 0.7023 0.2528
0.9345 0.2977 0.2472
```

Values from the calculation:
- Energy relative to the elements: -1.298 eV per atom
- SG: No. 14
- Excess energy over the best structure of this formula in the dataset: 0.0 meV per atom
- E_tot: -23.92 eV/atom
- Magnetic moment: 0.0 μB per formula unit



Record 3
VASP calculation (meta-GGA r2SCAN) on crystalline Hg3P2O8 at its relaxed geometry.

POSCAR file:
```
Hg3P2O8
1.0
11.5379 0.0000 0.0000
0.0000 6.4473 0.0145
0.0000 1.6623 9.6686
O P Hg
32 8 12
Direct
0.4393 0.6975 0.9162
0.9793 0.7543 0.4491
0.9054 0.9868 0.7205
0.0946 0.0132 0.2795
0.3104 0.3187 0.5019
0.4399 0.1003 0.8609
0.4054 0.5132 0.2795
0.7803 0.6289 0.2198
0.7197 0.1289 0.2198
0.4793 0.7457 0.5509
0.2197 0.3711 0.7802
0.9399 0.3997 0.1391
0.1896 0.8187 0.5019
0.0207 0.2457 0.5509
0.8104 0.1813 0.4981
0.1420 0.6450 0.2975
0.7034 0.0828 0.9700
0.2034 0.4172 0.0300
0.5207 0.2543 0.4491
0.6896 0.6813 0.4981
0.8580 0.3550 0.7025
0.2803 0.8711 0.7802
0.6420 0.8550 0.7025
0.5601 0.8997 0.1391
0.0607 0.1975 0.9162
0.5946 0.4868 0.7205
0.0601 0.6003 0.8609
0.5607 0.3025 0.0838
0.3580 0.1450 0.2975
0.2966 0.9172 0.0300
0.7966 0.5828 0.9700
0.9393 0.8025 0.0838
0.3669 0.9035 0.8958
0.6020 0.6924 0.6120
0.1331 0.4035 0.8958
0.6331 0.0965 0.1042
0.8669 0.5965 0.1042
0.8980 0.1924 0.6120
0.3980 0.3076 0.3880
0.1020 0.8076 0.3880
0.8922 0.6730 0.6992
0.8797 0.1755 0.9609
0.3344 0.5817 0.6558
0.3797 0.3245 0.0391
0.1656 0.0817 0.6558
0.6203 0.6755 0.9609
0.6656 0.4183 0.3442
0.1078 0.3270 0.3008
0.3922 0.8270 0.3008
0.1203 0.8245 0.0391
0.6078 0.1730 0.6992
0.8344 0.9183 0.3442
```

Values from the calculation:
- Energy relative to the elements: -1.534 eV per atom
- SG: No. 14
- E_tot: -17.99 eV/atom
- Magnetic moment: 0.0 μB per formula unit



Record 4
VASP calculation (meta-GGA r2SCAN) on crystalline HgP2O6 at its relaxed geometry.

POSCAR file:
```
HgP2O6
1.0
7.1392 0.0000 0.0000
0.0000 9.8194 0.0000
0.0000 0.0000 13.8080
P O Hg
16 48 8
Direct
0.8179 0.7873 0.6034
0.1821 0.2126 0.3966
0.9212 0.7009 0.9028
0.8179 0.7127 0.1033
0.6821 0.2126 0.1034
0.3179 0.7873 0.8966
0.0788 0.2991 0.0972
0.9212 0.7991 0.4028
0.1821 0.2873 0.8967
0.5788 0.2009 0.9028
0.0788 0.2009 0.5972
0.5788 0.2991 0.4028
0.4212 0.7991 0.0972
0.4212 0.7009 0.5972
0.6821 0.2873 0.6033
0.3179 0.7127 0.3967
0.1550 0.3622 0.9988
0.7350 0.1046 0.1747
0.8626 0.6541 0.3974
0.3450 0.8622 0.9987
0.8450 0.6378 0.0012
0.8626 0.8459 0.8974
0.6550 0.3622 0.5013
0.3626 0.6541 0.1026
0.1431 0.8111 0.4137
0.6431 0.6889 0.5863
0.1339 0.1030 0.6756
0.8569 0.3111 0.0863
0.2650 0.6046 0.3253
0.8661 0.8970 0.3244
0.2350 0.3953 0.8253
0.2650 0.8953 0.8253
0.6339 0.3970 0.3244
0.0154 0.2016 0.8782
0.5154 0.2984 0.1218
0.2350 0.1046 0.3253
0.9846 0.7016 0.6218
0.8661 0.6030 0.8243
0.3569 0.1889 0.9137
0.6339 0.1030 0.8244
0.6550 0.1378 0.0012
0.7650 0.8953 0.6747
0.1431 0.6889 0.9137
0.6374 0.3459 0.8974
0.1550 0.1378 0.4988
0.1374 0.3459 0.6026
0.6431 0.8111 0.0863
0.3569 0.3111 0.4137
0.8569 0.1889 0.5863
0.3661 0.8970 0.1756
0.7650 0.6046 0.1747
0.3450 0.6378 0.4988
0.3661 0.6030 0.6757
0.8450 0.8622 0.5013
0.1374 0.1541 0.1026
0.7350 0.3953 0.6747
0.0154 0.2984 0.3782
0.6374 0.1541 0.3974
0.3626 0.8459 0.6026
0.4846 0.7016 0.8782
0.4846 0.7984 0.3782
0.9846 0.7984 0.1218
0.5154 0.2016 0.6218
0.1339 0.3970 0.1756
0.0458 0.5058 0.7051
0.0458 0.9942 0.2051
0.5458 0.5058 0.7949
0.9542 0.4942 0.2949
0.4542 0.0058 0.7051
0.9542 0.0058 0.7949
0.5458 0.9942 0.2949
0.4542 0.4942 0.2051
```

Values from the calculation:
- Energy relative to the elements: -1.916 eV per atom
- SG: No. 61
- E_tot: -13.38 eV/atom
- Magnetic moment: 0.0 μB per formula unit



Record 5
VASP calculation (meta-GGA r2SCAN) on crystalline Hg3PO4 at its relaxed geometry.

POSCAR file:
```
Hg3PO4
1.0
-4.1033 -1.3356 -2.5391
1.0472 -8.2083 2.6255
-5.8850 -4.8832 12.0789
O P Hg
16 4 12
Direct
0.0268 0.0682 0.3344
0.4732 0.0682 0.8344
0.4600 0.2260 0.6258
0.5268 0.9318 0.1656
0.0400 0.2260 0.1258
0.5400 0.7740 0.3742
0.9600 0.7740 0.8742
0.0647 0.2378 0.7294
0.9732 0.9318 0.6656
0.9820 0.5901 0.7826
0.9353 0.7622 0.2706
0.4820 0.4099 0.7174
0.5180 0.5901 0.2826
0.0180 0.4099 0.2174
0.4353 0.2378 0.2294
0.5647 0.7622 0.7706
0.8714 0.7650 0.7741
0.6286 0.7650 0.2741
0.3714 0.2350 0.7259
0.1286 0.2350 0.2259
0.1413 0.9542 0.0862
0.8403 0.5588 0.6233
0.6413 0.0458 0.4138
0.8488 0.2673 0.5444
0.3403 0.4412 0.8767
0.6512 0.2673 0.0444
0.3488 0.7327 0.9556
0.6597 0.5588 0.1233
0.8587 0.0458 0.9138
0.3587 0.9542 0.5862
0.1512 0.7327 0.4556
0.1597 0.4412 0.3767
```

Values from the calculation:
- Energy relative to the elements: -1.296 eV per atom
- SG: No. 14
- Excess energy over the best structure of this formula in the dataset: 2.1 meV per atom
- E_tot: -23.92 eV/atom
- Magnetic moment: 0.0 μB per formula unit



Record 6
VASP calculation (meta-GGA r2SCAN) on crystalline Re2Hg5O10 at its relaxed geometry.

POSCAR file:
```
Re2Hg5O10
1.0
11.6882 0.0000 0.0000
0.0000 6.5250 -0.0662
0.0000 1.3466 7.9587
O Hg Re
20 10 4
Direct
0.4254 0.5435 0.6590
0.4096 0.8168 0.3450
0.9254 0.4565 0.8410
0.1756 0.3957 0.8787
0.9493 0.8054 0.4398
0.5746 0.4565 0.3410
0.2102 0.6950 0.5331
0.4493 0.1946 0.0602
0.0904 0.8168 0.8450
0.2898 0.6950 0.0331
0.5904 0.1832 0.6550
0.7898 0.3050 0.4669
0.5507 0.8054 0.9398
0.9096 0.1832 0.1550
0.7102 0.3050 0.9669
0.8244 0.6043 0.1213
0.6756 0.6043 0.6213
0.3244 0.3957 0.3787
0.0507 0.1946 0.5602
0.0746 0.5435 0.1590
0.5885 0.0038 0.1919
0.7817 0.8778 0.3286
0.5000 0.5000 0.0000
0.0885 0.9962 0.3081
0.7183 0.8778 0.8286
0.9115 0.0038 0.6919
0.0000 0.5000 0.5000
0.4115 0.9962 0.8081
0.2183 0.1222 0.6714
0.2817 0.1222 0.1714
0.3448 0.6116 0.4774
0.1552 0.6116 0.9774
0.6552 0.3884 0.5226
0.8448 0.3884 0.0226
```

Values from the calculation:
- Energy relative to the elements: -1.078 eV per atom
- SG: No. 14
- E_tot: -25.28 eV/atom
- Magnetic moment: 0.0 μB per formula unit